Computed, not measured: a geometry-optimized Na4MgSi3Ge3S3O24 structure at the GGA-PBE level of DFT.

## Properties
Total magnetization in μB/f.u.: 0.02
Calculated formation energy in eV per atom: -2.2858

Cell and atoms, written as CIF:
```
data_Na4MgSi3Ge3S3O24
_chemical_formula_sum 'Na12 Mg3 Si9 Ge9 S9 O72'
_space_group_name_H-M_alt 'P 1'
_space_group_IT_number 1
_cell_length_a 8.700
_cell_length_b 8.706
_cell_length_c 22.025
_cell_angle_alpha 88.57
_cell_angle_beta 89.27
_cell_angle_gamma 60.08
loop_
_space_group_symop_operation_xyz
'x,y,z'
loop_
_atom_site_label
_atom_site_fract_x
_atom_site_fract_y
_atom_site_fract_z
Na1 0.000 0.000 0.000
Na2 0.001 0.362 0.753
Na3 0.327 0.071 0.834
Na4 0.330 0.701 0.592
Na5 0.333 0.326 0.346
Na6 0.341 0.697 0.086
Na7 0.644 0.052 0.920
Na8 0.656 0.045 0.426
Na9 0.682 0.332 0.842
Na10 0.684 0.711 0.346
Na11 0.961 0.713 0.840
Na12 0.988 0.357 0.260
Mg1 0.330 0.700 0.947
Mg2 0.644 0.049 0.773
Mg3 0.652 0.044 0.279
Si1 0.029 0.993 0.844
Si2 0.277 0.378 0.506
Si3 0.285 0.079 0.010
Si4 0.312 0.995 0.345
Si5 0.321 0.420 0.842
Si6 0.354 0.037 0.676
Si7 0.622 0.410 0.343
Si8 0.700 0.379 0.009
Si9 0.716 0.654 0.509
Ge1 0.001 0.374 0.608
Ge2 0.012 0.340 0.904
Ge3 0.301 0.726 0.740
Ge4 0.333 0.717 0.248
Ge5 0.366 0.679 0.450
Ge6 0.626 0.033 0.568
Ge7 0.641 0.056 0.067
Ge8 0.987 0.363 0.104
Ge9 0.991 0.360 0.410
S1 0.038 0.708 0.341
S2 0.357 0.337 0.174
S3 0.615 0.702 0.841
S4 0.657 0.331 0.672
S5 0.661 0.743 0.174
S6 0.945 0.748 0.673
S7 0.953 0.035 0.174
S8 0.986 0.659 0.010
S9 0.989 0.078 0.510
O1 0.011 0.196 0.845
O2 0.016 0.546 0.067
O3 0.023 0.160 0.562
O4 0.024 0.543 0.343
O5 0.110 0.881 0.905
O6 0.116 0.736 0.394
O7 0.128 0.726 0.676
O8 0.129 0.414 0.849
O9 0.134 0.872 0.178
O10 0.141 0.197 0.351
O11 0.142 0.678 0.007
O12 0.148 0.904 0.502
O13 0.155 0.215 0.663
O14 0.156 0.411 0.566
O15 0.157 0.174 0.070
O16 0.158 0.667 0.284
O17 0.163 0.916 0.784
O18 0.176 0.355 0.167
O19 0.195 0.335 0.445
O20 0.207 0.204 0.948
O21 0.269 0.922 0.281
O22 0.278 0.553 0.779
O23 0.286 0.563 0.498
O24 0.292 0.894 0.008
O25 0.339 0.516 0.178
O26 0.342 0.849 0.681
O27 0.351 0.856 0.402
O28 0.365 0.503 0.899
O29 0.428 0.073 0.736
O30 0.434 0.227 0.229
O31 0.473 0.255 0.119
O32 0.479 0.204 0.514
O33 0.481 0.063 0.017
O34 0.482 0.221 0.836
O35 0.482 0.500 0.399
O36 0.484 0.996 0.616
O37 0.491 0.006 0.337
O38 0.495 0.726 0.177
O39 0.496 0.509 0.677
O40 0.505 0.739 0.895
O41 0.507 0.540 0.007
O42 0.515 0.680 0.505
O43 0.534 0.548 0.281
O44 0.540 0.663 0.786
O45 0.631 0.244 0.618
O46 0.632 0.859 0.118
O47 0.634 0.223 0.335
O48 0.643 0.854 0.832
O49 0.685 0.820 0.229
O50 0.688 0.227 0.729
O51 0.697 0.852 0.514
O52 0.705 0.182 0.018
O53 0.788 0.409 0.071
O54 0.795 0.539 0.848
O55 0.802 0.524 0.568
O56 0.810 0.409 0.350
O57 0.820 0.349 0.666
O58 0.823 0.840 0.017
O59 0.824 0.564 0.168
O60 0.827 0.065 0.516
O61 0.828 0.570 0.446
O62 0.836 0.017 0.834
O63 0.836 0.330 0.949
O64 0.842 0.060 0.227
O65 0.847 0.822 0.729
O66 0.860 0.860 0.331
O67 0.862 0.863 0.618
O68 0.875 0.009 0.117
O69 0.951 0.192 0.452
O70 0.951 0.585 0.955
O71 0.961 0.568 0.668
O72 0.970 0.201 0.170
```